(1)
Computed, not measured: a geometry-optimized VHO3 structure at the PBE with a Hubbard U level of DFT.

- M_tot (μB per atom) = 0.000

Cell: 5.116 8.570 8.291 Å, 90.00 99.38 90.00°
Space group P2_1 (No. 4)
Asymmetric unit:
V 0.046 0.000 0.322
V 0.058 0.390 0.327
V 0.430 0.700 0.571
H 0.281 0.315 0.868
H 0.332 0.724 0.064
H 0.426 0.105 0.899
O 0.078 0.005 0.817
O 0.084 0.694 0.744
O 0.099 0.380 0.832
O 0.169 0.853 0.500
O 0.177 0.533 0.509
O 0.366 0.041 0.290
O 0.384 0.346 0.286
O 0.394 0.198 0.575
O 0.481 0.211 0.939

(2)
Computed, not measured: a geometry-optimized NaMnP2H10NO10 structure at the PBE with a Hubbard U level of DFT.

- M_tot (μB per atom) = 0.200

Cell: 10.180 16.424 5.629 Å, 90.00 104.06 90.00°
Space group Cc (No. 9)
Asymmetric unit:
Na 0.000 0.061 0.000
Mn 0.036 0.255 0.771
P 0.327 0.374 0.901
P 0.347 0.213 0.691
H 0.054 0.469 0.297
H 0.127 0.393 0.167
H 0.134 0.393 0.473
H 0.146 0.086 0.656
H 0.155 0.193 0.277
H 0.226 0.462 0.354
H 0.240 0.010 0.744
H 0.240 0.175 0.081
H 0.388 0.063 0.100
H 0.411 0.086 0.370
N 0.135 0.429 0.323
O 0.146 0.179 0.101
O 0.149 0.033 0.737
O 0.173 0.359 0.864
O 0.192 0.201 0.595
O 0.357 0.457 0.810
O 0.376 0.311 0.708
O 0.400 0.178 0.952
O 0.402 0.037 0.262
O 0.410 0.351 0.158
O 0.425 0.182 0.508

(3)
Computed, not measured: a geometry-optimized Li3Ti2Ni2O8 structure at the PBE with a Hubbard U level of DFT.

- M_tot (μB per atom) = 0.067
- energy above the lowest structure with this stoichiometry (eV per formula unit) = 0.170

Cell: 5.849 5.872 8.607 Å, 90.62 90.02 90.04°
Space group P-1 (No. 2)
Asymmetric unit:
Li 0.000 0.000 0.000
Li 0.000 0.500 0.000
Li 0.250 0.250 0.749
Li 0.500 0.000 0.500
Li 0.500 0.500 0.500
Ti 0.249 0.251 0.250
Ti 0.251 0.751 0.750
Ni 0.000 0.000 0.500
Ni 0.000 0.500 0.500
Ni 0.500 0.000 0.000
Ni 0.500 0.500 0.000
O 0.002 0.525 0.759
O 0.002 0.975 0.748
O 0.230 0.733 0.521
O 0.234 0.264 0.485
O 0.266 0.236 0.016
O 0.270 0.767 0.979
O 0.498 0.525 0.752
O 0.498 0.975 0.741

(4)
Computed, not measured: a geometry-optimized NaCaEuFeO6 structure at the PBE with a Hubbard U level of DFT.

- M_tot (μB per atom) = 0.801

Cell: 8.085 8.085 8.085 Å, 90.00 90.00 90.00°
Space group F-43m (No. 216)
Asymmetric unit:
Na 0.000 0.000 0.000
Ca 0.000 0.000 0.500
Eu 0.250 0.250 0.750
Fe 0.250 0.250 0.250
O 0.019 0.250 0.250

(5)
Computed, not measured: a geometry-optimized BaNaMnSnO6 structure at the PBE with a Hubbard U level of DFT.

- M_tot (μB per atom) = 0.200

Cell: 8.049 8.049 8.049 Å, 90.00 90.00 90.00°
Space group F-43m (No. 216)
Asymmetric unit:
Ba 0.000 0.000 0.000
Na 0.000 0.000 0.500
Mn 0.250 0.250 0.750
Sn 0.250 0.250 0.250
O 0.008 0.250 0.750

Results for formation energy: -1.9383, -1.7057, -2.3976, -1.9918, -2.0158 (in eV/atom, following the order of the records).
Results for VASP energy: -6.65, -5.89, -6.54, -6.53, -6.05 (in eV/atom, following the order of the records).